(1)
A plane-wave DFT calculation with PBE was carried out for La3Ce after structural relaxation.

```
La3Ce
1.0
-2.528 2.528 5.243
2.528 -2.528 5.243
2.528 2.528 -5.243
La Ce
3 1
Direct
0.000 0.000 0.000 La
0.250 0.750 0.500 La
0.750 0.250 0.500 La
0.500 0.500 0.000 Ce
```

magnetic moment: 0.166 μB/atom
total DFT energy (no corrections): -5.106 eV/atom
V: 134 Å³/cell
SG: No. 139
energy relative to the elements: 0.315 eV/f.u.

***

(2)
A plane-wave DFT calculation with PBE was carried out for DySi2Au2 after structural relaxation.

```
DySi2Au2
1.0
-2.134 2.134 5.137
2.134 -2.134 5.137
2.134 2.134 -5.137
Dy Si Au
1 2 2
Direct
0.000 0.000 0.000 Dy
0.388 0.388 0.000 Si
0.612 0.612 0.000 Si
0.250 0.750 0.500 Au
0.750 0.250 0.500 Au
```

total DFT energy (no corrections): -4.953 eV/atom
V: 94 Å³/cell
SG: No. 139
energy relative to the elements: -2.759 eV/f.u.

***

Q: Number 2 is which compound?
A: DySi2Au2

***

Copy entry 1 word for word.
A plane-wave DFT calculation with PBE was carried out for La3Ce after structural relaxation.

```
La3Ce
1.0
-2.528 2.528 5.243
2.528 -2.528 5.243
2.528 2.528 -5.243
La Ce
3 1
Direct
0.000 0.000 0.000 La
0.250 0.750 0.500 La
0.750 0.250 0.500 La
0.500 0.500 0.000 Ce
```

magnetic moment: 0.166 μB/atom
total DFT energy (no corrections): -5.106 eV/atom
V: 134 Å³/cell
SG: No. 139
energy relative to the elements: 0.315 eV/f.u.

***

Q: Among the records above, which one has the lowest total DFT energy (no corrections)?
A: La3Ce

***

Q: Which value of V does entry 2 give?
A: 94 Å³/cell